No. 1
A relaxed structure of VCuO2. Source: the Materials Project database, functional PBE with a Hubbard U.

Properties
The calculated formation energy is -167.7 kJ/mol of atoms.

```
data_VCuO2
_chemical_formula_sum 'V3 Cu3 O6'
_symmetry_space_group_name_H-M 'R -3 m'
_symmetry_Int_Tables_number 166
_symmetry_space_group_name_Hall '-R 3 2"'
_cell_length_a 3.0296
_cell_length_b 3.0296
_cell_length_c 17.4493
_cell_angle_alpha 90.00
_cell_angle_beta 90.00
_cell_angle_gamma 120.00
loop_
_atom_site_label
_atom_site_type_symbol
_atom_site_fract_x
_atom_site_fract_y
_atom_site_fract_z
V1 V 0.0000 0.0000 0.0000
Cu1 Cu 0.0000 0.0000 0.5000
O1 O 0.0000 0.0000 0.3940
```

***

No. 2
A relaxed structure of VCuO4. Source: the Materials Project database, functional PBE with a Hubbard U.

Properties
The calculated formation energy is -158.7 kJ/mol of atoms.

```
data_VCuO4
_chemical_formula_sum 'V4 Cu4 O16'
_symmetry_space_group_name_H-M 'I m m a'
_symmetry_Int_Tables_number 74
_symmetry_space_group_name_Hall '-I 2b 2'
_cell_length_a 5.673
_cell_length_b 6.215
_cell_length_c 8.042
_cell_angle_alpha 90.00
_cell_angle_beta 90.00
_cell_angle_gamma 90.00
loop_
_atom_site_label
_atom_site_type_symbol
_atom_site_fract_x
_atom_site_fract_y
_atom_site_fract_z
V1 V 0.000 0.250 0.217
Cu1 Cu 0.250 0.250 0.750
O1 O 0.000 0.058 0.730
O2 O 0.242 0.250 0.091
```

***

No. 3
A relaxed structure of VCuO4. Source: the Materials Project database, functional PBE with a Hubbard U.

Properties
The calculated formation energy is -150.4 kJ/mol of atoms.

```
data_VCuO4
_chemical_formula_sum 'V8 Cu8 O32'
_symmetry_space_group_name_H-M 'P 1 21/c 1'
_symmetry_Int_Tables_number 14
_cell_length_a 6.399
_cell_length_b 8.481
_cell_length_c 11.740
_cell_angle_alpha 90.00
_cell_angle_beta 90.59
_cell_angle_gamma 90.00
loop_
_symmetry_equiv_pos_as_xyz
'x,y,z'
'-x,-y,-z'
'-x,y+1/2,-z+1/2'
'x,-y+1/2,z+1/2'
loop_
_atom_site_label
_atom_site_type_symbol
_atom_site_fract_x
_atom_site_fract_y
_atom_site_fract_z
V1 V 0.101 0.093 0.136
V2 V 0.396 0.545 0.154
Cu1 Cu 0.127 0.556 0.873
Cu2 Cu 0.276 0.173 0.873
O1 O 0.004 0.101 0.865
O2 O 0.081 0.732 0.401
O3 O 0.151 0.008 0.594
O4 O 0.187 0.128 0.288
O5 O 0.293 0.103 0.038
O6 O 0.372 0.524 0.299
O7 O 0.411 0.590 0.892
O8 O 0.461 0.741 0.117
```

***

No. 4
A relaxed structure of V12Cu10O33. Source: the Materials Project database, functional PBE with a Hubbard U.

Properties
The calculated formation energy is -170.7 kJ/mol of atoms.

```
data_V12Cu10O33
_chemical_formula_sum 'V12 Cu10 O33'
_symmetry_space_group_name_H-M 'P 1'
_symmetry_Int_Tables_number 1
_cell_length_a 5.633
_cell_length_b 10.772
_cell_length_c 13.380
_cell_angle_alpha 72.72
_cell_angle_beta 79.23
_cell_angle_gamma 77.22
loop_
_symmetry_equiv_pos_as_xyz
'x,y,z'
loop_
_atom_site_label
_atom_site_type_symbol
_atom_site_fract_x
_atom_site_fract_y
_atom_site_fract_z
V1 V 0.000 0.000 0.000
V2 V 0.015 0.810 0.471
V3 V 0.070 0.302 0.857
V4 V 0.165 0.505 0.585
V5 V 0.328 0.682 0.660
V6 V 0.386 0.466 0.133
V7 V 0.402 0.980 0.526
V8 V 0.499 0.166 0.257
V9 V 0.597 0.648 0.196
V10 V 0.666 0.160 0.789
V11 V 0.700 0.347 0.312
V12 V 0.782 0.840 0.928
Cu1 Cu 0.036 0.583 0.339
Cu2 Cu 0.105 0.558 0.905
Cu3 Cu 0.202 0.976 0.758
Cu4 Cu 0.262 0.940 0.226
Cu5 Cu 0.358 0.216 0.027
Cu6 Cu 0.457 0.219 0.549
Cu7 Cu 0.619 0.581 0.880
Cu8 Cu 0.731 0.930 0.672
Cu9 Cu 0.788 0.869 0.242
Cu10 Cu 0.943 0.281 0.548
O1 O 0.014 0.641 0.465
O2 O 0.028 0.676 0.643
O3 O 0.067 0.907 0.123
O4 O 0.082 0.154 0.992
O5 O 0.085 0.410 0.712
O6 O 0.110 0.895 0.906
O7 O 0.195 0.388 0.515
O8 O 0.240 0.091 0.608
O9 O 0.292 0.606 0.205
O10 O 0.306 0.829 0.493
O11 O 0.324 0.549 0.006
O12 O 0.349 0.297 0.137
O13 O 0.355 0.840 0.672
O14 O 0.380 0.082 0.394
O15 O 0.389 0.588 0.785
O16 O 0.391 0.352 0.302
O17 O 0.427 0.251 0.862
O18 O 0.451 0.553 0.581
O19 O 0.525 0.038 0.196
O20 O 0.532 0.767 0.264
O21 O 0.658 0.238 0.659
O22 O 0.660 0.986 0.797
O23 O 0.691 0.459 0.134
O24 O 0.692 0.001 0.989
O25 O 0.722 0.728 0.070
O26 O 0.727 0.285 0.445
O27 O 0.757 0.908 0.536
O28 O 0.797 0.514 0.287
O29 O 0.807 0.203 0.262
O30 O 0.824 0.713 0.866
O31 O 0.902 0.427 0.911
O32 O 0.954 0.171 0.815
O33 O 0.995 0.888 0.340
```

***

No. 5
A relaxed structure of V12Cu2O29. Source: the Materials Project database, functional PBE with a Hubbard U.

Properties
The calculated formation energy is -214.6 kJ/mol of atoms.

```
data_V12Cu2O29
_chemical_formula_sum 'V24 Cu4 O58'
_symmetry_space_group_name_H-M 'P 1'
_symmetry_Int_Tables_number 1
_cell_length_a 7.400
_cell_length_b 10.971
_cell_length_c 14.365
_cell_angle_alpha 96.90
_cell_angle_beta 97.48
_cell_angle_gamma 109.69
loop_
_symmetry_equiv_pos_as_xyz
'x,y,z'
loop_
_atom_site_label
_atom_site_type_symbol
_atom_site_fract_x
_atom_site_fract_y
_atom_site_fract_z
V1 V 0.000 0.000 0.000
V2 V 0.001 0.548 0.900
V3 V 0.159 0.200 0.242
V4 V 0.166 0.655 0.350
V5 V 0.188 0.132 0.480
V6 V 0.321 0.988 0.303
V7 V 0.331 0.900 0.518
V8 V 0.332 0.750 0.827
V9 V 0.335 0.302 0.726
V10 V 0.338 0.453 0.419
V11 V 0.353 0.226 0.952
V12 V 0.476 0.069 0.772
V13 V 0.499 0.549 0.901
V14 V 0.507 0.009 0.007
V15 V 0.663 0.655 0.342
V16 V 0.665 0.202 0.245
V17 V 0.687 0.134 0.481
V18 V 0.819 0.985 0.306
V19 V 0.827 0.454 0.419
V20 V 0.830 0.898 0.521
V21 V 0.835 0.752 0.833
V22 V 0.837 0.310 0.729
V23 V 0.849 0.223 0.948
V24 V 0.979 0.072 0.769
Cu1 Cu 0.019 0.447 0.162
Cu2 Cu 0.149 0.753 0.095
Cu3 Cu 0.651 0.740 0.109
Cu4 Cu 0.692 0.575 0.608
O1 O 0.053 0.587 0.020
O2 O 0.070 0.253 0.737
O3 O 0.078 0.177 0.921
O4 O 0.080 0.725 0.862
O5 O 0.085 0.109 0.127
O6 O 0.091 0.029 0.328
O7 O 0.095 0.488 0.400
O8 O 0.115 0.953 0.516
O9 O 0.117 0.619 0.230
O10 O 0.210 0.357 0.230
O11 O 0.237 0.278 0.400
O12 O 0.245 0.890 0.195
O13 O 0.256 0.745 0.529
O14 O 0.257 0.574 0.871
O15 O 0.258 0.107 0.789
O16 O 0.261 0.834 0.376
O17 O 0.265 0.227 0.593
O18 O 0.279 0.048 0.987
O19 O 0.286 0.713 0.713
O20 O 0.403 0.367 0.875
O21 O 0.404 0.168 0.266
O22 O 0.405 0.084 0.450
O23 O 0.409 0.980 0.661
O24 O 0.410 0.628 0.372
O25 O 0.421 0.459 0.720
O26 O 0.422 0.318 0.055
O27 O 0.427 0.494 0.535
O28 O 0.429 0.932 0.848
O29 O 0.430 0.852 0.022
O30 O 0.545 0.586 0.019
O31 O 0.553 0.250 0.737
O32 O 0.566 0.183 0.924
O33 O 0.577 0.725 0.862
O34 O 0.583 0.475 0.377
O35 O 0.587 0.105 0.127
O36 O 0.597 0.952 0.516
O37 O 0.603 0.027 0.328
O38 O 0.624 0.634 0.225
O39 O 0.742 0.278 0.399
O40 O 0.747 0.894 0.196
O41 O 0.751 0.119 0.795
O42 O 0.752 0.738 0.526
O43 O 0.757 0.577 0.877
O44 O 0.760 0.225 0.593
O45 O 0.762 0.045 0.985
O46 O 0.762 0.356 0.230
O47 O 0.762 0.835 0.372
O48 O 0.783 0.708 0.716
O49 O 0.838 0.494 0.534
O50 O 0.896 0.160 0.267
O51 O 0.901 0.468 0.723
O52 O 0.902 0.979 0.659
O53 O 0.905 0.079 0.459
O54 O 0.906 0.628 0.372
O55 O 0.907 0.372 0.876
O56 O 0.925 0.319 0.055
O57 O 0.927 0.928 0.852
O58 O 0.931 0.844 0.021
```

***

No. 6
A relaxed structure of V4ZnCu3O12. Source: the Materials Project database, functional PBE with a Hubbard U.

Properties
The calculated formation energy is -177.6 kJ/mol of atoms.

```
data_V4ZnCu3O12
_chemical_formula_sum 'V4 Zn1 Cu3 O12'
_symmetry_space_group_name_H-M 'P -1'
_symmetry_Int_Tables_number 2
_cell_length_a 6.363
_cell_length_b 6.388
_cell_length_c 6.395
_cell_angle_alpha 109.40
_cell_angle_beta 109.41
_cell_angle_gamma 109.35
loop_
_symmetry_equiv_pos_as_xyz
'x,y,z'
'-x,-y,-z'
loop_
_atom_site_label
_atom_site_type_symbol
_atom_site_fract_x
_atom_site_fract_y
_atom_site_fract_z
V1 V 0.000 0.000 0.000
V2 V 0.000 0.500 0.500
V3 V 0.500 0.000 0.500
V4 V 0.500 0.500 0.000
Zn1 Zn 0.000 0.000 0.500
Cu1 Cu 0.000 0.500 0.000
Cu2 Cu 0.500 0.000 0.000
Cu3 Cu 0.500 0.500 0.500
O1 O 0.122 0.827 0.808
O2 O 0.177 0.699 0.374
O3 O 0.187 0.308 0.981
O4 O 0.294 0.481 0.672
O5 O 0.301 0.124 0.323
O6 O 0.480 0.178 0.803
```

***

No. 7
A relaxed structure of V2ZnCu2O8. Source: the Materials Project database, functional PBE with a Hubbard U.

Properties
The calculated formation energy is -173.7 kJ/mol of atoms.

```
data_V2ZnCu2O8
_chemical_formula_sum 'V8 Zn4 Cu8 O32'
_symmetry_space_group_name_H-M 'P 1 21/c 1'
_symmetry_Int_Tables_number 14
_cell_length_a 6.512
_cell_length_b 8.424
_cell_length_c 11.831
_cell_angle_alpha 90.00
_cell_angle_beta 90.51
_cell_angle_gamma 90.00
loop_
_symmetry_equiv_pos_as_xyz
'x,y,z'
'-x,-y,-z'
'-x,y+1/2,-z+1/2'
'x,-y+1/2,z+1/2'
loop_
_atom_site_label
_atom_site_type_symbol
_atom_site_fract_x
_atom_site_fract_y
_atom_site_fract_z
V1 V 0.102 0.041 0.345
V2 V 0.392 0.588 0.366
Zn1 Zn 0.109 0.166 0.052
Cu1 Cu 0.236 0.684 0.627
Cu2 Cu 0.380 0.058 0.630
O1 O 0.036 0.234 0.396
O2 O 0.086 0.103 0.617
O3 O 0.120 0.039 0.200
O4 O 0.192 0.581 0.470
O5 O 0.315 0.632 0.224
O6 O 0.337 0.513 0.901
O7 O 0.418 0.220 0.087
O8 O 0.495 0.097 0.861
```

***

No. 8
A relaxed structure of Cu2WO4. Source: the Materials Project database, functional PBE with a Hubbard U.

Properties
As for the offset from the most stable computed form: 149.2 meV per atom. The calculated formation energy is -125.4 kJ/mol of atoms.

```
data_Cu2WO4
_chemical_formula_sum 'Cu8 W4 O16'
_symmetry_space_group_name_H-M 'P -1'
_symmetry_Int_Tables_number 2
_cell_length_a 7.520
_cell_length_b 7.572
_cell_length_c 8.142
_cell_angle_alpha 97.58
_cell_angle_beta 96.79
_cell_angle_gamma 94.53
loop_
_symmetry_equiv_pos_as_xyz
'x,y,z'
'-x,-y,-z'
loop_
_atom_site_label
_atom_site_type_symbol
_atom_site_fract_x
_atom_site_fract_y
_atom_site_fract_z
Cu1 Cu 0.109 0.127 0.196
Cu2 Cu 0.137 0.399 0.599
Cu3 Cu 0.161 0.117 0.871
Cu4 Cu 0.188 0.792 0.001
W1 W 0.242 0.840 0.489
W2 W 0.468 0.245 0.738
O1 O 0.060 0.262 0.029
O2 O 0.075 0.681 0.556
O3 O 0.136 0.002 0.375
O4 O 0.273 0.685 0.286
O5 O 0.302 0.021 0.702
O6 O 0.356 0.450 0.738
O7 O 0.437 0.779 0.050
O8 O 0.499 0.176 0.493
```

***

No. 9
A relaxed structure of CuW2O7. Source: the Materials Project database, functional PBE with a Hubbard U.

Properties
The calculated formation energy is -164.3 kJ/mol of atoms.

```
data_CuW2O7
_chemical_formula_sum 'Cu6 W12 O42'
_symmetry_space_group_name_H-M 'P 1 2/c 1'
_symmetry_Int_Tables_number 13
_cell_length_a 11.817
_cell_length_b 9.325
_cell_length_c 10.687
_cell_angle_alpha 90.00
_cell_angle_beta 93.15
_cell_angle_gamma 90.00
loop_
_symmetry_equiv_pos_as_xyz
'x,y,z'
'-x,-y,-z'
'-x,y,-z+1/2'
'x,-y,z+1/2'
loop_
_atom_site_label
_atom_site_type_symbol
_atom_site_fract_x
_atom_site_fract_y
_atom_site_fract_z
Cu1 Cu 0.000 0.070 0.250
Cu2 Cu 0.305 0.432 0.912
W1 W 0.032 0.203 0.539
W2 W 0.332 0.252 0.619
W3 W 0.341 0.291 0.209
O1 O 0.002 0.370 0.602
O2 O 0.017 0.214 0.125
O3 O 0.047 0.067 0.878
O4 O 0.190 0.166 0.562
O5 O 0.262 0.429 0.287
O6 O 0.298 0.126 0.267
O7 O 0.303 0.292 0.042
O8 O 0.333 0.291 0.785
O9 O 0.350 0.418 0.532
O10 O 0.445 0.139 0.590
O11 O 0.500 0.320 0.250
```